Here is Sm5Ge3 after structural relaxation from Materials Project. Energies are from PBE.

Summary:
total magnetization	0.1	μB/f.u.
formation energy	-740	meV per atom
uncorrected energy	-5.423	eV/atom

Cell lengths 8.7467, 8.7467, 6.6094 Å; angles 90.00, 90.00, 120.00 degrees
Last column: nearest neighbours and their distance in Å.
Space group P6_3/mcm (No. 193)
Inequivalent atoms, fractional coordinates:
Sm (0.0000, 0.2432, 0.2500) x6  3 Ge 3.01-3.18
Sm (0.3333, 0.6667, 0.0000) x4  6 Ge 3.16, 2 Sm 3.30
Ge (0.0000, 0.3931, 0.7500) x6  7 Sm 3.01-3.18


Here is Th2SbN2 after structural relaxation from Materials Project. Energies are from PBE.

Summary:
formation energy	-1674	meV per atom
uncorrected energy	-8.656	eV/atom

Cell lengths 4.0587, 4.0587, 13.8822 Å; angles 90.00, 90.00, 90.00 degrees
Last column: nearest neighbours and their distance in Å.
Space group I4/mmm (No. 139)
Inequivalent atoms, fractional coordinates:
Th (0.0000, 0.0000, 0.1665) x4  4 N 2.34
Sb (0.0000, 0.0000, 0.5000) x2  8 Th 3.68, 8 N 4.02, 4 Sb 4.06
N (0.0000, 0.5000, 0.2500) x4  4 Th 2.34


Here is MgTi2S6 after structural relaxation from Materials Project. Energies are from PBE.

Summary:
total magnetization	0.0	μB/f.u.
formation energy	-1306	meV per atom
uncorrected energy	-5.661	eV/atom

Cell lengths 5.0293, 3.4203, 9.3055 Å; angles 90.00, 90.14, 90.00 degrees
Last column: nearest neighbours and their distance in Å.
Space group Pm (No. 6)
Inequivalent atoms, fractional coordinates:
Mg (0.0000, 0.0000, 0.0000) x1  6 S 2.49-2.61
Ti (0.4949, 0.5000, 0.3778) x1  8 S 2.48-2.72
Ti (0.9989, 0.0000, 0.6756) x1  8 S 2.44-2.70
S (0.2519, 0.5000, 0.8375) x1  2 S 2.49-2.53, 2 Ti 2.61, 2 Mg 2.61
S (0.2526, 0.0000, 0.2311) x1  2 S 2.41-2.61, 1 Mg 2.49, 2 Ti 2.50
S (0.4967, 0.0000, 0.5710) x1  4 Ti 2.48-2.70
S (0.7327, 0.0000, 0.2294) x1  2 S 2.41-2.61, 2 Ti 2.50, 1 Mg 2.53
S (0.7479, 0.5000, 0.8377) x1  2 S 2.49-2.53, 2 Ti 2.61, 2 Mg 2.61
S (0.9958, 0.5000, 0.4890) x1  4 Ti 2.44-2.72


Here is Ho3Ga5 after structural relaxation from Materials Project. Energies are from PBE.

Summary:
formation energy	-648	meV per atom
uncorrected energy	-4.259	eV/atom

Cell lengths 11.3823, 9.6544, 6.0839 Å; angles 90.00, 90.00, 90.00 degrees
Last column: nearest neighbours and their distance in Å.
Space group Pnma (No. 62)
Inequivalent atoms, fractional coordinates:
Ho (0.0737, 0.2500, 0.1515) x4  8 Ga 2.84-3.16
Ho (0.1479, 0.5093, 0.6104) x8  10 Ga 2.97-3.30
Ga (0.0051, 0.2500, 0.6285) x4  3 Ga 2.66-2.90
Ga (0.0910, 0.5529, 0.1250) x8  4 Ga 2.66-2.88, 1 Ho 2.93
Ga (0.2014, 0.7500, 0.8968) x4  3 Ga 2.66-2.67, 3 Ho 2.96-2.97
Ga (0.2481, 0.7500, 0.3245) x4  4 Ga 2.66-2.90, 1 Ho 2.84


Here is K3Al3Si3O16 after structural relaxation from Materials Project. Energies are from PBE.

Summary:
total magnetization	2.0	μB/f.u.
formation energy	-2174	meV per atom
uncorrected energy	-6.574	eV/atom

Cell lengths 9.2885, 9.3025, 9.3314 Å; angles 89.65, 89.50, 89.16 degrees
Last column: nearest neighbours and their distance in Å.
Space group P1 (No. 1)
Inequivalent atoms, fractional coordinates:
K (0.0000, 0.0000, 0.0000) x1  7 O 2.71-2.97
K (0.0107, 0.3490, 0.3653) x1  4 O 2.71-2.89
K (0.1532, 0.5045, 0.8579) x1  6 O 2.71-2.94
K (0.5029, 0.4992, 0.4986) x1  8 O 2.72-3.00
K (0.5134, 0.8579, 0.8569) x1  7 O 2.70-3.00
K (0.6596, 0.0026, 0.3504) x1  6 O 2.76-2.93
Al (0.0765, 0.6803, 0.1849) x1  4 O 1.74-1.77
Al (0.3289, 0.1792, 0.9293) x1  4 O 1.75-1.76
Al (0.3330, 0.1756, 0.4287) x1  4 O 1.74-1.76
Al (0.5801, 0.6726, 0.1785) x1  4 O 1.74-1.77
Al (0.8230, 0.4302, 0.6882) x1  4 O 1.75-1.77
Al (0.8399, 0.9272, 0.6726) x1  4 O 1.75-1.76
Si (0.0823, 0.1797, 0.6833) x1  4 O 1.62-1.65
Si (0.3255, 0.9302, 0.1814) x1  4 O 1.62-1.65
Si (0.3333, 0.4267, 0.1775) x1  4 O 1.63-1.64
Si (0.5805, 0.1782, 0.6762) x1  4 O 1.63-1.64
Si (0.8261, 0.6773, 0.4298) x1  4 O 1.63-1.64
Si (0.8334, 0.6783, 0.9296) x1  4 O 1.63-1.64
O (0.1698, 0.2110, 0.8314) x1  1 Si 1.64, 1 Al 1.76
O (0.1780, 0.8374, 0.2110) x1  1 Si 1.65, 1 Al 1.77
O (0.1855, 0.1619, 0.5440) x1  1 Si 1.62, 1 Al 1.74
O (0.1938, 0.5339, 0.1518) x1  1 Si 1.64, 1 Al 1.76
O (0.1991, 0.5452, 0.5623) x1  2 O 2.49-2.65
O (0.2092, 0.7957, 0.6951) x1  1 O 1.30
O (0.2682, 0.8026, 0.5688) x1  2 O 1.30-1.31
O (0.2994, 0.0249, 0.0349) x1  1 Si 1.64, 1 Al 1.76
O (0.3012, 0.3286, 0.3201) x1  1 Si 1.64, 1 Al 1.76
O (0.3546, 0.3329, 0.0319) x1  1 Si 1.63, 1 Al 1.75
O (0.3647, 0.0282, 0.3178) x1  1 Si 1.62, 1 Al 1.74
O (0.4086, 0.7978, 0.5647) x1  1 O 1.31
O (0.4598, 0.8189, 0.1499) x1  1 Si 1.64, 1 Al 1.77
O (0.4704, 0.1423, 0.8091) x1  1 Si 1.64, 1 Al 1.75
O (0.4772, 0.5193, 0.2095) x1  1 Si 1.63, 1 Al 1.75
O (0.4913, 0.2038, 0.5267) x1  1 Si 1.64, 1 Al 1.76
O (0.6688, 0.3250, 0.7061) x1  1 Si 1.63, 1 Al 1.75
O (0.6812, 0.1319, 0.0346) x1  1 O 1.30
O (0.6809, 0.7036, 0.3333) x1  1 Si 1.64, 1 Al 1.76
O (0.6859, 0.0381, 0.6521) x1  1 Si 1.63, 1 Al 1.76
O (0.6862, 0.6665, 0.0241) x1  1 Si 1.63, 1 Al 1.74
O (0.7135, 0.3169, 0.1783) x1  1 O 1.30
O (0.7178, 0.2654, 0.0494) x1  2 O 1.30
O (0.7950, 0.5410, 0.5369) x1  1 Si 1.64, 1 Al 1.76
O (0.8115, 0.8184, 0.8243) x1  1 Si 1.64, 1 Al 1.76
O (0.8557, 0.8259, 0.5155) x1  1 Si 1.63, 1 Al 1.75
O (0.8629, 0.5313, 0.8394) x1  1 Si 1.63, 1 Al 1.75
O (0.9622, 0.0249, 0.2866) x1  2 K 2.71-2.88, 2 O 2.73-2.99
O (0.9621, 0.6341, 0.3261) x1  1 Si 1.63, 1 Al 1.74
O (0.9747, 0.3187, 0.6531) x1  1 Si 1.65, 1 Al 1.77
O (0.9761, 0.7071, 0.0273) x1  1 Si 1.64, 1 Al 1.76
O (0.9852, 0.0380, 0.7112) x1  1 Si 1.63, 1 Al 1.75


Here is LaCBr after structural relaxation from Materials Project. Energies are from PBE.

Summary:
total magnetization	0.0	μB/f.u.
formation energy	-1298	meV per atom
uncorrected energy	-6.387	eV/atom

Cell lengths 7.4874, 4.1185, 10.1967 Å; angles 90.00, 94.16, 90.00 degrees
Last column: nearest neighbours and their distance in Å.
Space group C2/m (No. 12)
Inequivalent atoms, fractional coordinates:
La (0.1445, 0.0000, 0.1504) x4  3 C 2.51-2.80
C (0.0732, 0.5000, 0.9677) x4  1 C 1.32
Br (0.1753, 0.0000, 0.6604) x4  3 La 3.07-3.18